Entry 1:
A relaxed structure of VO2F, computed with GGA+U.

Lattice parameters (Å, degrees): 5.2139 5.2139 5.2270 62.42 62.42 57.94
With the nearest neighbours (Å) after each atom.
Positions (direct):
O 0.8628 0.5411 0.6132  1 V 1.63
O 0.9628 0.0439 0.1030  2 V 1.76-1.83
O 0.0439 0.9628 0.6030  2 V 1.76-1.83
O 0.5411 0.8628 0.1132  1 V 1.63
F 0.3741 0.4535 0.1107  2 V 1.98-2.04
F 0.4535 0.3741 0.6107  2 V 1.98-2.04
V 0.7666 0.2377 0.8095  3 O 1.63-1.83
V 0.2377 0.7666 0.3095  3 O 1.63-1.83

## Properties
**Piezoelectric modulus e_max**: 3.4 C/m²
**E_form**: -2.459 eV/atom
**Calculated volume**: 102.2 Å³ per cell
**Final energy**: -27.2 eV/f.u.



Entry 2:
A relaxed structure of Li9Mn2Co5O16, computed with GGA+U.

Lattice parameters (Å, degrees): 5.7918 6.6231 7.7398 85.58 78.76 77.23
With the nearest neighbours (Å) after each atom.
Positions (direct):
O 0.9770 0.4473 0.6746  3 Co 1.93-2.11, 2 Li 2.13
O 0.6593 0.8037 0.5654  3 Co 2.03-2.04, 3 Li 2.06-2.13
O 0.3458 0.1931 0.4150  1 Mn 1.94, 2 Co 1.95-2.11, 1 Li 2.08
O 0.3997 0.3081 0.0836  1 Mn 1.90, 1 Co 1.95, 2 Li 2.07
O 0.0856 0.7121 0.9432  1 Mn 1.93, 2 Co 2.07, 2 Li 2.07-2.09
O 0.2654 0.0538 0.8219  1 Mn 1.95, 1 Co 2.00, 4 Li 2.04-2.13
O 0.0294 0.5379 0.3186  1 Mn 1.99, 2 Co 2.00-2.05, 2 Li 2.15-2.17
O 0.2018 0.9593 0.1813  2 Mn 1.93-1.97, 2 Li 2.07
O 0.9093 0.2947 0.0761  1 Co 1.97, 2 Mn 1.97-2.00, 2 Li 2.19-2.20
O 0.5300 0.5397 0.3184  3 Co 1.98-2.03, 2 Li 2.09-2.12
O 0.5992 0.6855 0.9190  2 Co 1.93-1.94, 3 Li 2.08-2.12
O 0.8458 0.1983 0.4180  2 Co 1.97-2.07, 1 Mn 1.97, 1 Li 2.08
O 0.1595 0.7983 0.5762  3 Co 2.02, 3 Li 2.16-2.19
O 0.7972 0.0547 0.8228  1 Mn 1.93, 1 Co 2.01, 4 Li 2.02-2.14
O 0.7277 0.9591 0.1798  1 Mn 1.92, 1 Co 1.95, 3 Li 2.05-2.12
O 0.4744 0.4425 0.6764  3 Co 1.95-2.15, 3 Li 2.08-2.12
Li 0.8026 0.6341 0.1248  6 O 2.07-2.24
Li 0.9313 0.8818 0.3752  6 O 2.06-2.28
Li 0.3189 0.6238 0.1233  6 O 2.07-2.23
Li 0.6814 0.3697 0.8733  6 O 2.08-2.20
Li 0.4440 0.8776 0.3700  6 O 2.08-2.23
Li 0.5004 0.0055 0.0006  6 O 2.05-2.18
Li 0.5632 0.1206 0.6336  6 O 2.12-2.26
Li 0.1991 0.3659 0.8692  5 O 2.07-2.19
Li 0.0605 0.1234 0.6307  6 O 2.02-2.21
Mn 0.1307 0.2456 0.2461  6 O 1.90-1.99
Mn 0.9964 0.0009 0.0015  6 O 1.92-2.00
Co 0.2485 0.5000 0.5027  6 O 1.93-2.11
Co 0.8674 0.7571 0.7548  6 O 1.93-2.11
Co 0.7455 0.5000 0.5016  6 O 1.95-2.07
Co 0.3780 0.7585 0.7549  6 O 1.94-2.15
Co 0.6249 0.2472 0.2474  6 O 1.95-1.98

## Properties
**E_form**: -1.844 eV/atom
**E above lowest polymorph**: 0.020 eV/atom
**Calculated volume**: 283.8 Å³ per cell
**Final energy**: -186.7 eV/f.u.



Entry 3:
A relaxed structure of TlNiF3, computed with GGA+U.

Lattice parameters (Å, degrees): 4.1430 4.1430 4.1430 90.00 90.00 90.00
With the nearest neighbours (Å) after each atom.
Positions (direct):
F 0.0000 0.5000 0.0000  2 Ni 2.07
F 0.5000 0.0000 0.0000  2 Ni 2.07
F 0.0000 0.0000 0.5000  2 Ni 2.07
Tl 0.5000 0.5000 0.5000  12 F 2.93
Ni 0.0000 0.0000 0.0000  6 F 2.07

## Properties
**E_form**: -2.181 eV/atom
**Calculated volume**: 71.1 Å³ per cell
**Final energy**: -20.9 eV/f.u.



Entry 4:
A relaxed structure of TaMn2O3, computed with GGA+U.

Lattice parameters (Å, degrees): 5.1024 5.1024 3.0715 90.00 90.00 120.00
With the nearest neighbours (Å) after each atom.
Positions (direct):
Ta 0.0000 0.0000 0.0000  6 O 2.55
O 0.5000 0.5000 0.0000  4 Mn 2.13
O 0.0000 0.5000 0.0000  4 Mn 2.13
O 0.5000 0.0000 0.0000  4 Mn 2.13
Mn 0.6667 0.3333 0.5000  6 O 2.13
Mn 0.3333 0.6667 0.5000  6 O 2.13

## Properties
**E_form**: -1.318 eV/atom
**Calculated volume**: 69.3 Å³ per cell
**Final energy**: -47.5 eV/f.u.